Entry 1:
Compound: ThGa4Co
Source: the Materials Project
Functional: PBE
Structure: relaxed

Lattice parameters (Å, degrees): 8.122 8.122 6.599 90.00 90.00 150.07
Fractional coordinates of all 12 atoms:
Ga (0.423, 0.577, 0.250)
Ga (0.000, 0.000, 0.500)
Ga (0.810, 0.190, 0.055)
Ga (0.810, 0.190, 0.445)
Ga (0.190, 0.810, 0.555)
Ga (0.577, 0.423, 0.750)
Ga (0.000, 0.000, 0.000)
Ga (0.190, 0.810, 0.945)
Th (0.384, 0.616, 0.750)
Th (0.616, 0.384, 0.250)
Co (0.274, 0.726, 0.250)
Co (0.726, 0.274, 0.750)



Entry 2:
Compound: Ti6Ga16Co7
Source: the Materials Project
Functional: PBE
Structure: relaxed

Lattice parameters (Å, degrees): 8.355 8.355 8.355 60.00 60.00 60.00
Fractional coordinates of all 29 atoms:
Ga (0.879, 0.364, 0.879)
Ga (0.037, 0.654, 0.654)
Ga (0.346, 0.346, 0.346)
Ga (0.346, 0.963, 0.346)
Ga (0.963, 0.346, 0.346)
Ga (0.654, 0.037, 0.654)
Ga (0.654, 0.654, 0.037)
Ga (0.636, 0.121, 0.121)
Ga (0.879, 0.879, 0.879)
Ga (0.879, 0.879, 0.364)
Ga (0.121, 0.636, 0.121)
Ga (0.654, 0.654, 0.654)
Ga (0.121, 0.121, 0.121)
Ga (0.364, 0.879, 0.879)
Ga (0.121, 0.121, 0.636)
Ga (0.346, 0.346, 0.963)
Co (0.500, 0.000, 0.000)
Co (0.500, 0.500, 0.000)
Co (0.000, 0.000, 0.500)
Co (0.500, 0.000, 0.500)
Co (0.000, 0.500, 0.500)
Co (0.000, 0.000, 0.000)
Co (0.000, 0.500, 0.000)
Ti (0.693, 0.307, 0.307)
Ti (0.693, 0.693, 0.307)
Ti (0.307, 0.307, 0.693)
Ti (0.307, 0.693, 0.307)
Ti (0.307, 0.693, 0.693)
Ti (0.693, 0.307, 0.693)



Entry 3:
Compound: TiGa5Co
Source: the Materials Project
Functional: PBE
Structure: relaxed

Lattice parameters (Å, degrees): 4.083 4.083 6.537 90.00 90.00 90.00
Fractional coordinates of all 7 atoms:
Ga (0.000, 0.500, 0.298)
Ga (0.500, 0.000, 0.702)
Ga (0.000, 0.500, 0.702)
Ga (0.500, 0.000, 0.298)
Ga (0.500, 0.500, 0.000)
Co (0.000, 0.000, 0.500)
Ti (0.000, 0.000, 0.000)



Entry 4:
Compound: Ti2GaCo
Source: the Materials Project
Functional: PBE
Structure: relaxed

Lattice parameters (Å, degrees): 4.329 4.329 4.329 60.00 60.00 60.00
Fractional coordinates of all 4 atoms:
Ga (0.750, 0.750, 0.750)
Co (0.500, 0.500, 0.500)
Ti (0.250, 0.250, 0.250)
Ti (0.000, 0.000, 0.000)



Entry 5:
Compound: Tm8Ga3Co
Source: the Materials Project
Functional: PBE
Structure: relaxed

Lattice parameters (Å, degrees): 9.875 9.875 6.836 90.00 90.00 120.00
Fractional coordinates of all 24 atoms:
Ga (0.163, 0.837, 0.539)
Ga (0.837, 0.163, 0.039)
Ga (0.327, 0.163, 0.039)
Ga (0.837, 0.673, 0.039)
Ga (0.673, 0.837, 0.539)
Ga (0.163, 0.327, 0.539)
Tm (0.173, 0.347, 0.990)
Tm (0.333, 0.667, 0.672)
Tm (0.827, 0.173, 0.490)
Tm (0.347, 0.173, 0.490)
Tm (0.653, 0.827, 0.990)
Tm (0.928, 0.464, 0.792)
Tm (0.000, 0.000, 0.768)
Tm (0.464, 0.928, 0.292)
Tm (0.000, 0.000, 0.268)
Tm (0.464, 0.536, 0.292)
Tm (0.536, 0.072, 0.792)
Tm (0.536, 0.464, 0.792)
Tm (0.072, 0.536, 0.292)
Tm (0.827, 0.653, 0.490)
Tm (0.667, 0.333, 0.172)
Tm (0.173, 0.827, 0.990)
Co (0.333, 0.667, 0.058)
Co (0.667, 0.333, 0.558)



Entry 6:
Compound: TmGa5Co
Source: the Materials Project
Functional: PBE
Structure: relaxed

Lattice parameters (Å, degrees): 4.215 4.215 6.788 90.00 90.00 90.00
Fractional coordinates of all 7 atoms:
Ga (0.500, 0.500, 0.000)
Ga (0.500, 0.000, 0.309)
Ga (0.000, 0.500, 0.309)
Ga (0.500, 0.000, 0.691)
Ga (0.000, 0.500, 0.691)
Co (0.000, 0.000, 0.500)
Tm (0.000, 0.000, 0.000)



ΔE_f for the records above, in order: -0.496, -0.376, -0.333, -0.271, -0.424, -0.460 eV/atom